## one
Li4Co5SnO12 | PBE+U | relaxed

a b c (Å): 5.1442 5.0826 19.8444
angles (deg): 92.60 84.91 120.33
Atoms (fractional coordinates):
O (0.5896, 0.0000, 0.2019)
O (0.9639, 0.6646, 0.1981)
Co (0.6679, 0.3349, 0.9997)
Li (0.3713, 0.6613, 0.8709)
Li (0.7881, 0.6611, 0.6298)
O (0.7264, 0.6445, 0.8005)
O (0.1376, 0.6499, 0.5562)
Co (0.9183, 0.3331, 0.2497)
Li (0.7159, 0.3453, 0.8697)
Co (0.7487, 0.9977, 0.7501)
Co (0.1648, 0.3335, 0.5002)
O (0.6619, 0.9927, 0.9440)
Co (0.2502, 0.0000, 0.2501)
O (0.8638, 0.3461, 0.4426)
O (0.4862, 0.3488, 0.5567)
O (0.5363, 0.3365, 0.3017)
Li (0.2081, 0.3366, 0.3704)
O (0.2002, 0.6638, 0.3017)
Co (0.8312, 0.6667, 0.5001)
Li (0.8714, 0.6647, 0.3705)
O (0.0087, 0.6504, 0.9427)
O (0.4172, 0.6438, 0.6995)
Co (0.4165, 0.3332, 0.7501)
O (0.3313, 0.9890, 0.0533)
O (0.1704, 0.0020, 0.4452)
O (0.8256, 0.9989, 0.5576)
O (0.2988, 0.3344, 0.1980)
Sn (0.5032, 0.0004, 0.5000)
O (0.9906, 0.3509, 0.0564)
O (0.5197, 0.6551, 0.4426)
Li (0.2942, 0.6674, 0.1288)
Sn (0.9958, 0.9975, 0.0001)
O (0.3586, 0.3575, 0.9451)
O (0.0869, 0.9954, 0.7025)
O (0.6373, 0.6496, 0.0580)
O (0.7804, 0.3599, 0.6994)
Co (0.3328, 0.6652, 0.9999)
Li (0.1287, 0.3381, 0.6301)
O (0.4086, 0.9960, 0.7978)
Co (0.0833, 0.6665, 0.7500)
Li (0.6324, 0.3390, 0.1299)
O (0.9124, 0.0002, 0.2981)
O (0.0800, 0.3606, 0.8008)
Co (0.5850, 0.6669, 0.2496)



## two
Li4Co5SnO12 | PBE+U | relaxed

a b c (Å): 5.0906 5.0354 10.0553
angles (deg): 95.01 99.97 59.55
Atoms (fractional coordinates):
O (0.8523, 0.6624, 0.6029)
Co (0.3333, 0.3332, 0.0000)
O (0.1572, 0.3241, 0.3897)
Co (0.8341, 0.3340, 0.4993)
O (0.0348, 0.6441, 0.1073)
Li (0.5846, 0.6684, 0.7467)
O (0.3211, 0.6442, 0.8926)
O (0.7794, 0.0090, 0.3983)
Li (0.4179, 0.3251, 0.2540)
O (0.6783, 0.3566, 0.1074)
Co (0.4982, 0.0064, 0.4995)
Co (0.6665, 0.6670, 0.0000)
Co (0.1703, 0.6660, 0.5004)
O (0.5111, 0.3244, 0.6100)
Li (0.2526, 0.3272, 0.7462)
O (0.6082, 0.9994, 0.8933)
Sn (0.9998, 0.0003, 0.0001)
O (0.3922, 0.9996, 0.1067)
O (0.2111, 0.0150, 0.6006)
O (0.9650, 0.3562, 0.8927)
Li (0.7507, 0.6672, 0.2540)
O (0.4814, 0.6702, 0.3984)



Which structure is most stable? two, by 0.006 eV/atom over the runner-up.



## one
NaCo2H3S2O10 | PBE+U | relaxed

a b c (Å): 5.4228 5.4270 7.4605
angles (deg): 69.35 69.39 72.46
Atoms (fractional coordinates):
O (0.2041, 0.8202, 0.2484)
Na (0.4998, 0.4998, 0.5006)
O (0.6500, 0.6495, 0.9194)
O (0.1777, 0.7936, 0.7535)
S (0.9038, 0.9040, 0.2956)
O (0.2197, 0.2198, 0.4971)
Co (0.4986, 0.9944, 0.9993)
O (0.1911, 0.1910, 0.8335)
O (0.8200, 0.2041, 0.2486)
S (0.0936, 0.0934, 0.7058)
O (0.3410, 0.3415, 0.0868)
H (0.4845, 0.4845, 0.0108)
H (0.3002, 0.3002, 0.2334)
O (0.7778, 0.7778, 0.5039)
Co (0.9943, 0.4986, 0.9993)
H (0.6883, 0.6884, 0.7739)
O (0.8079, 0.8079, 0.1664)
O (0.7935, 0.1775, 0.7537)



## two
NaCo2H3S2O10 | PBE+U | relaxed

a b c (Å): 6.3239 6.3239 7.4915
angles (deg): 67.03 67.03 57.86
Atoms (fractional coordinates):
H (0.8860, 0.8860, 0.7057)
S (0.0375, 0.0375, 0.7427)
H (0.0979, 0.0979, 0.3218)
O (0.2272, 0.2272, 0.8900)
O (0.1156, 0.7509, 0.7312)
H (0.5319, 0.5319, 0.9524)
O (0.6345, 0.6345, 0.8792)
O (0.2365, 0.8718, 0.2864)
O (0.3192, 0.3192, 0.3050)
O (0.6685, 0.6685, 0.6728)
Na (0.4972, 0.4972, 0.5167)
Co (0.4923, 0.0077, 0.0110)
O (0.3542, 0.3542, 0.1064)
O (0.7599, 0.7599, 0.1212)
Co (0.0077, 0.4923, 0.0110)
O (0.8718, 0.2365, 0.2864)
O (0.7509, 0.1156, 0.7312)
S (0.9574, 0.9574, 0.2591)



Which structure is most stable? one, by 0.899 eV/atom over the runner-up.



## one
Li4Cr3FeO8 | PBE+U | relaxed

a b c (Å): 5.1098 5.1732 5.9437
angles (deg): 73.30 90.00 80.59
Atoms (fractional coordinates):
Li (0.9992, 0.0001, 0.5001)
O (0.6208, 0.2720, 0.4305)
Cr (0.2498, 0.5000, 0.3744)
Cr (0.7500, 0.5000, 0.1250)
Li (0.0005, 0.0002, 0.9999)
O (0.1248, 0.2731, 0.6818)
O (0.8792, 0.7276, 0.3166)
Cr (0.2501, 0.5000, 0.8755)
Li (0.4995, 0.9998, 0.2501)
O (0.3786, 0.7256, 0.0686)
O (0.1214, 0.2744, 0.1814)
O (0.8792, 0.7280, 0.8195)
Fe (0.7500, 0.5000, 0.6250)
O (0.6208, 0.2724, 0.9334)
O (0.3752, 0.7269, 0.5682)
Li (0.5008, 0.9999, 0.7499)



## two
Li4Cr3FeO8 | PBE+U | relaxed

a b c (Å): 5.1222 7.7705 7.7907
angles (deg): 81.87 83.79 71.02
Atoms (fractional coordinates):
O (0.2263, 0.9734, 0.0942)
O (0.2245, 0.4747, 0.5994)
O (0.7736, 0.9012, 0.2809)
O (0.7760, 0.7717, 0.6587)
O (0.7734, 0.1516, 0.5306)
Cr (0.0001, 0.1904, 0.9376)
Fe (0.9999, 0.4383, 0.1856)
O (0.2233, 0.5955, 0.2194)
Cr (0.9997, 0.3145, 0.5615)
Cr (0.9998, 0.0643, 0.3120)
O (0.7737, 0.0266, 0.9058)
Li (0.5010, 0.7492, 0.2508)
Li (0.5004, 0.8751, 0.8744)
O (0.7765, 0.2799, 0.1550)
Li (0.4990, 0.2508, 0.7492)
O (0.7767, 0.4045, 0.7806)
O (0.7755, 0.5253, 0.4006)
Li (0.4996, 0.1249, 0.1256)
O (0.7774, 0.6464, 0.0293)
Li (0.4989, 0.6243, 0.6285)
O (0.2266, 0.8484, 0.4694)
O (0.2264, 0.0988, 0.7191)
O (0.2226, 0.3536, 0.9707)
Fe (0.0001, 0.5617, 0.8144)
Cr (0.9999, 0.8096, 0.0624)
Li (0.5011, 0.3757, 0.3715)
O (0.2240, 0.2283, 0.3413)
Li (0.5000, 0.5000, 0.0000)
Cr (0.0003, 0.6855, 0.4385)
O (0.2235, 0.7201, 0.8450)
Li (0.5000, 0.0000, 0.5000)
Cr (0.0002, 0.9357, 0.6880)



Which structure is most stable? one, by 0.019 eV/atom over the runner-up.



## one
Li3VPCO7 | PBE+U | relaxed

a b c (Å): 4.9856 8.5108 13.2425
angles (deg): 89.12 89.66 85.07
Atoms (fractional coordinates):
O (0.8202, 0.3092, 0.2817)
Li (0.7535, 0.7177, 0.0220)
O (0.6448, 0.8969, 0.1253)
Li (0.2540, 0.2775, 0.7578)
C (0.3072, 0.9652, 0.3750)
Li (0.2484, 0.2810, 0.4810)
Li (0.2338, 0.2870, 0.2639)
O (0.1670, 0.6891, 0.0334)
Li (0.7724, 0.0971, 0.8724)
O (0.1738, 0.4223, 0.1298)
C (0.3051, 0.9622, 0.8744)
O (0.1717, 0.6923, 0.5338)
O (0.4993, 0.1486, 0.6275)
Li (0.7504, 0.7159, 0.7327)
C (0.7163, 0.0412, 0.1173)
O (0.5298, 0.1576, 0.1156)
O (0.8222, 0.5764, 0.3737)
O (0.8162, 0.5779, 0.8709)
O (0.4054, 0.4316, 0.3761)
O (0.6351, 0.8888, 0.6244)
Li (0.7739, 0.1009, 0.3699)
O (0.9676, 0.0690, 0.1129)
O (0.5911, 0.5736, 0.1248)
O (0.5930, 0.5682, 0.6244)
Li (0.7498, 0.7171, 0.2348)
O (0.8138, 0.3070, 0.7851)
P (0.2792, 0.5886, 0.1259)
V (0.2072, 0.6712, 0.3748)
Li (0.2256, 0.9010, 0.6224)
O (0.0597, 0.9273, 0.3738)
O (0.4039, 0.4260, 0.8851)
O (0.4987, 0.8502, 0.3769)
P (0.7209, 0.4091, 0.3730)
O (0.3642, 0.1104, 0.3739)
O (0.8277, 0.3069, 0.4658)
P (0.2784, 0.5892, 0.6251)
V (0.2054, 0.6695, 0.8752)
C (0.6916, 0.0345, 0.6263)
Li (0.7748, 0.3533, 0.1337)
P (0.7212, 0.4102, 0.8771)
V (0.7904, 0.3279, 0.6244)
O (0.9386, 0.0726, 0.6271)
Li (0.2355, 0.8950, 0.1300)
O (0.1702, 0.6915, 0.2158)
Li (0.7452, 0.7207, 0.5094)
O (0.4981, 0.8509, 0.8724)
V (0.2433, 0.2599, 0.0076)
O (0.1761, 0.4229, 0.6276)
O (0.1752, 0.6916, 0.7162)
O (0.8330, 0.3127, 0.9692)
O (0.0586, 0.9260, 0.8732)
O (0.3615, 0.1097, 0.8777)



## two
Li3VPCO7 | PBE+U | relaxed

a b c (Å): 6.6099 8.5323 10.0080
angles (deg): 83.44 90.00 90.00
Atoms (fractional coordinates):
C (0.7500, 0.0362, 0.8357)
O (0.7500, 0.1580, 0.7434)
Li (0.5219, 0.7206, 0.3664)
O (0.7500, 0.5675, 0.7916)
O (0.5672, 0.6942, 0.0810)
O (0.2500, 0.5740, 0.4160)
V (0.2500, 0.6743, 0.1043)
Li (0.0219, 0.2794, 0.1336)
O (0.9328, 0.6942, 0.5810)
P (0.2500, 0.4100, 0.8657)
O (0.0672, 0.3058, 0.9190)
Li (0.9781, 0.7206, 0.3664)
O (0.2500, 0.8420, 0.2566)
O (0.2500, 0.8420, 0.7566)
O (0.7500, 0.8937, 0.3034)
Li (0.7500, 0.8949, 0.6021)
O (0.2500, 0.9339, 0.0400)
Li (0.2500, 0.1051, 0.3979)
O (0.2500, 0.1063, 0.1966)
Li (0.0219, 0.2794, 0.6336)
V (0.7500, 0.3257, 0.8957)
O (0.0672, 0.3058, 0.4190)
Li (0.2500, 0.1051, 0.8979)
O (0.2500, 0.9339, 0.5400)
O (0.2500, 0.5740, 0.9160)
O (0.9328, 0.6942, 0.0810)
O (0.7500, 0.0661, 0.4600)
V (0.2500, 0.6743, 0.6043)
V (0.7500, 0.3257, 0.3957)
C (0.7500, 0.0362, 0.3357)
O (0.4328, 0.3058, 0.9190)
Li (0.7500, 0.8949, 0.1021)
P (0.7500, 0.5900, 0.6343)
O (0.2500, 0.1063, 0.6966)
C (0.2500, 0.9638, 0.6643)
Li (0.4781, 0.2794, 0.6336)
C (0.2500, 0.9638, 0.1643)
O (0.7500, 0.4260, 0.5840)
Li (0.5219, 0.7206, 0.8664)
O (0.4328, 0.3058, 0.4190)
O (0.7500, 0.4260, 0.0840)
P (0.2500, 0.4100, 0.3657)
Li (0.9781, 0.7206, 0.8664)
O (0.7500, 0.5675, 0.2916)
O (0.5672, 0.6942, 0.5810)
O (0.7500, 0.8937, 0.8034)
O (0.7500, 0.1580, 0.2434)
O (0.2500, 0.4325, 0.7084)
O (0.2500, 0.4325, 0.2084)
O (0.7500, 0.0661, 0.9600)
P (0.7500, 0.5900, 0.1343)
Li (0.4781, 0.2794, 0.1336)



## three
Li3VPCO7 | PBE+U | relaxed

a b c (Å): 5.2043 6.7029 8.3493
angles (deg): 90.00 87.60 90.00
Atoms (fractional coordinates):
V (0.0661, 0.7492, 0.2665)
O (0.4715, 0.7458, 0.2993)
Li (0.4281, 0.3537, 0.5005)
V (0.9335, 0.2492, 0.7336)
Li (0.4136, 0.2326, 0.1623)
O (0.5284, 0.2459, 0.7007)
O (0.0742, 0.0676, 0.2279)
O (0.0692, 0.4326, 0.2249)
C (0.5283, 0.7420, 0.1474)
O (0.7636, 0.7535, 0.0919)
Li (0.9517, 0.0133, 0.0049)
O (0.2363, 0.2535, 0.9081)
P (0.9600, 0.2512, 0.3243)
P (0.0402, 0.7512, 0.6757)
O (0.9309, 0.9325, 0.7751)
O (0.6630, 0.2440, 0.3361)
O (0.6580, 0.2291, 0.9530)
Li (0.5720, 0.8536, 0.4994)
O (0.0783, 0.2601, 0.4914)
O (0.9260, 0.5676, 0.7720)
O (0.9218, 0.7602, 0.5086)
O (0.3371, 0.7440, 0.6639)
Li (0.5866, 0.7326, 0.8377)
Li (0.0484, 0.5132, 0.9951)
O (0.3418, 0.7290, 0.0470)
C (0.4716, 0.2420, 0.8526)



Which structure is most stable? two, by 0.012 eV/atom over the runner-up.



## one
MgFe2O2F2 | PBE+U | relaxed

a b c (Å): 5.4739 5.5330 3.1382
angles (deg): 90.00 90.00 92.58
Atoms (fractional coordinates):
O (0.3020, 0.2623, 0.0000)
F (0.3125, 0.8014, 0.5000)
Mg (0.4912, 0.9544, 0.0000)
F (0.6643, 0.6372, 0.0000)
Fe (0.9563, 0.1995, 0.0000)
Fe (0.4719, 0.4420, 0.5000)
O (0.7323, 0.1337, 0.5000)



## two
MgFe2O2F2 | PBE+U | relaxed

a b c (Å): 5.3408 5.4335 3.0641
angles (deg): 89.52 104.03 81.10
Atoms (fractional coordinates):
F (0.7057, 0.5986, 0.0170)
F (0.3204, 0.8321, 0.3511)
O (0.2527, 0.2860, 0.8251)
O (0.7321, 0.1222, 0.5225)
Fe (0.9931, 0.2208, 0.1816)
Mg (0.5385, 0.9646, 0.9405)
Fe (0.4575, 0.4479, 0.4122)



Which structure is most stable? two, by 0.047 eV/atom over the runner-up.